1.
First-principles (PBE-GGA) data for Cs2MgTi2Cu2O2F10 after structural relaxation, as listed in the Materials Project.

Computed properties:
E_form   -3.02 eV/atom
E_tot   -5.678 eV/atom
Space-group type   Cm (8)
Crystal system   monoclinic

Cell: 7.5280 7.5280 7.6680 Å, 116.57 116.57 59.48°
Closest atoms and distances in Å follow each position.
Atoms (fractional coordinates):
1 Cs 0.0000 0.0000 0.0000  6 F 3.01-3.30
2 Cs 0.1761 0.1761 0.6636  7 F 3.12-3.48
3 Mg 0.4916 0.4916 0.7065  4 F 1.89-2.05, 1 O 2.02
4 Ti 0.0926 0.5787 0.3378  4 F 1.90-2.03, 2 O 1.92-1.95
5 Ti 0.5787 0.0926 0.3378  4 F 1.90-2.03, 2 O 1.92-1.95
6 Cu 0.5748 0.5748 0.2804  5 F 2.13-2.19
7 Cu 0.7522 0.7522 0.0343  1 O 1.84, 1 F 1.87
8 O 0.3449 0.3449 0.4253  2 Ti 1.92, 1 Mg 2.02
9 O 0.8520 0.8520 0.3131  1 Cu 1.84, 2 Ti 1.95
10 F 0.0368 0.4063 0.0631  1 Ti 1.90
11 F 0.1939 0.7279 0.6385  1 Ti 2.03, 1 Mg 2.05
12 F 0.2580 0.6723 0.2880  1 Ti 1.94, 1 Cu 2.13
13 F 0.4063 0.0368 0.0631  1 Ti 1.90
14 F 0.4863 0.4863 0.9480  1 Mg 1.89
15 F 0.4993 0.9141 0.3855  1 Ti 1.94, 1 Cu 2.14
16 F 0.6517 0.6517 0.7509  1 Cu 1.87, 1 Mg 1.94
17 F 0.6723 0.2580 0.2880  1 Ti 1.94, 1 Cu 2.13
18 F 0.7279 0.1939 0.6385  1 Ti 2.03, 1 Mg 2.05
19 F 0.9141 0.4993 0.3855  1 Ti 1.94, 1 Cu 2.14

=====

2.
First-principles (PBE-GGA) data for Cs2NbCuF6 after structural relaxation, as listed in the Materials Project.

Computed properties:
E_form   -2.57 eV/atom
E_tot   -5.045 eV/atom
Space-group type   Fm-3m (225)
Crystal system   cubic

Cell: 6.3326 6.3326 6.3326 Å, 60.00 60.00 60.00°
Closest atoms and distances in Å follow each position.
Atoms (fractional coordinates):
1 Cs 0.2500 0.2500 0.2500  12 F 3.17
2 Cs 0.7500 0.7500 0.7500  12 F 3.17
3 Nb 0.0000 0.0000 0.0000  6 F 2.13
4 Cu 0.5000 0.5000 0.5000  6 F 2.34
5 F 0.2382 0.2382 0.7618  1 Nb 2.13, 1 Cu 2.34
6 F 0.2382 0.7618 0.2382  1 Nb 2.13, 1 Cu 2.34
7 F 0.2382 0.7618 0.7618  1 Nb 2.13, 1 Cu 2.34
8 F 0.7618 0.2382 0.2382  1 Nb 2.13, 1 Cu 2.34
9 F 0.7618 0.2382 0.7618  1 Nb 2.13, 1 Cu 2.34
10 F 0.7618 0.7618 0.2382  1 Nb 2.13, 1 Cu 2.34

=====

3.
First-principles (PBE-GGA) data for Cs2RbCuF6 after structural relaxation, as listed in the Materials Project.

Computed properties:
E_form   -2.56 eV/atom
E_tot   -4.115 eV/atom
Space-group type   Fm-3m (225)
Crystal system   cubic

Cell: 6.5537 6.5537 6.5537 Å, 60.00 60.00 60.00°
Closest atoms and distances in Å follow each position.
Atoms (fractional coordinates):
1 Cs 0.2500 0.2500 0.2500  12 F 3.30
2 Cs 0.7500 0.7500 0.7500  12 F 3.30
3 Rb 0.0000 0.0000 0.0000  6 F 2.69
4 Cu 0.5000 0.5000 0.5000  6 F 1.94
5 F 0.2907 0.2907 0.7093  1 Cu 1.94
6 F 0.2907 0.7093 0.2907  1 Cu 1.94
7 F 0.2907 0.7093 0.7093  1 Cu 1.94
8 F 0.7093 0.2907 0.2907  1 Cu 1.94
9 F 0.7093 0.2907 0.7093  1 Cu 1.94
10 F 0.7093 0.7093 0.2907  1 Cu 1.94

=====

4.
First-principles (PBE-GGA) data for Cs2TiCu3F12 after structural relaxation, as listed in the Materials Project.

Computed properties:
E_form   -2.70 eV/atom
E_tot   -4.886 eV/atom
Space-group type   P2_1/c (14)
Crystal system   monoclinic

Cell: 8.0296 7.0847 12.3341 Å, 90.00 121.18 90.00°
Closest atoms and distances in Å follow each position.
Atoms (fractional coordinates):
1 Cs 0.1625 0.0022 0.3866  10 F 3.12-3.47
2 Cs 0.1625 0.4978 0.8866  10 F 3.12-3.47
3 Cs 0.8375 0.5022 0.1134  10 F 3.12-3.47
4 Cs 0.8375 0.9978 0.6134  10 F 3.12-3.47
5 Ti 0.0000 0.0000 0.0000  6 F 1.90
6 Ti 0.0000 0.5000 0.5000  6 F 1.90
7 Cu 0.4888 0.2288 0.7420  4 F 1.91-1.93
8 Cu 0.4888 0.2712 0.2420  4 F 1.91-1.93
9 Cu 0.5000 0.0000 0.0000  4 F 1.92-1.93
10 Cu 0.5000 0.5000 0.5000  4 F 1.92-1.93
11 Cu 0.5112 0.7288 0.7580  4 F 1.91-1.93
12 Cu 0.5112 0.7712 0.2580  4 F 1.91-1.93
13 F 0.1420 0.2206 0.0852  1 Ti 1.90
14 F 0.1420 0.2794 0.5852  1 Ti 1.90
15 F 0.1636 0.5444 0.4335  1 Ti 1.90
16 F 0.1639 0.6496 0.6444  1 Ti 1.90
17 F 0.1639 0.8504 0.1444  1 Ti 1.90
18 F 0.1636 0.9556 0.9335  1 Ti 1.90
19 F 0.4087 0.1744 0.8616  2 Cu 1.92-1.93
20 F 0.4087 0.3256 0.3616  2 Cu 1.92-1.93
21 F 0.4378 0.5279 0.1796  2 Cu 1.91-1.93
22 F 0.4378 0.9721 0.6796  2 Cu 1.91-1.93
23 F 0.4716 0.7169 0.3965  2 Cu 1.93
24 F 0.4716 0.7831 0.8965  2 Cu 1.93
25 F 0.5284 0.2169 0.1035  2 Cu 1.93
26 F 0.5284 0.2831 0.6035  2 Cu 1.93
27 F 0.5622 0.0279 0.3204  2 Cu 1.91-1.93
28 F 0.5622 0.4721 0.8204  2 Cu 1.91-1.93
29 F 0.5913 0.6744 0.6384  2 Cu 1.92-1.93
30 F 0.5913 0.8256 0.1384  2 Cu 1.92-1.93
31 F 0.8364 0.0444 0.0665  1 Ti 1.90
32 F 0.8361 0.1496 0.8556  1 Ti 1.90
33 F 0.8361 0.3504 0.3556  1 Ti 1.90
34 F 0.8364 0.4556 0.5665  1 Ti 1.90
35 F 0.8580 0.7206 0.4148  1 Ti 1.90
36 F 0.8580 0.7794 0.9148  1 Ti 1.90

=====

5.
First-principles (PBE-GGA) data for Cs2ZrCu3F12 after structural relaxation, as listed in the Materials Project.

Computed properties:
E_form   -2.74 eV/atom
E_tot   -4.969 eV/atom
Space-group type   R-3m (166)
Crystal system   trigonal

Cell: 8.1990 8.1990 8.1990 Å, 52.36 52.36 52.36°
Closest atoms and distances in Å follow each position.
Atoms (fractional coordinates):
1 Cs 0.1059 0.1059 0.1059  9 F 3.24-3.60
2 Cs 0.8941 0.8941 0.8941  9 F 3.24-3.60
3 Zr 0.5000 0.5000 0.5000  6 F 2.04
4 Cu 0.0000 0.5000 0.5000  4 F 1.91
5 Cu 0.5000 0.0000 0.5000  4 F 1.91
6 Cu 0.5000 0.5000 0.0000  4 F 1.91
7 F 0.1746 0.5826 0.5826  1 Zr 2.04
8 F 0.1924 0.1924 0.5761  2 Cu 1.91
9 F 0.1924 0.5761 0.1924  2 Cu 1.91
10 F 0.4174 0.4174 0.8254  1 Zr 2.04
11 F 0.4174 0.8254 0.4174  1 Zr 2.04
12 F 0.4239 0.8076 0.8076  2 Cu 1.91
13 F 0.5761 0.1924 0.1924  2 Cu 1.91
14 F 0.5826 0.1746 0.5826  1 Zr 2.04
15 F 0.5826 0.5826 0.1746  1 Zr 2.04
16 F 0.8076 0.4239 0.8076  2 Cu 1.91
17 F 0.8076 0.8076 0.4239  2 Cu 1.91
18 F 0.8254 0.4174 0.4174  1 Zr 2.04

=====

6.
First-principles (PBE-GGA) data for Cs2ZrCu3F12 after structural relaxation, as listed in the Materials Project.

Computed properties:
E_form   -2.74 eV/atom
E_tot   -4.971 eV/atom
Space-group type   P2_1/m (11)
Crystal system   monoclinic

Cell: 7.9072 7.2550 10.4285 Å, 90.00 94.15 90.00°
Closest atoms and distances in Å follow each position.
Atoms (fractional coordinates):
1 Cs 0.0122 0.2500 0.1494  8 F 3.01-3.30
2 Cs 0.4476 0.7500 0.6243  7 F 3.06-3.29
3 Cs 0.5524 0.2500 0.3757  7 F 3.06-3.29
4 Cs 0.9878 0.7500 0.8506  8 F 3.01-3.30
5 Zr 0.2975 0.7500 0.2398  6 F 2.04-2.11
6 Zr 0.7025 0.2500 0.7602  6 F 2.04-2.11
7 Cu 0.0000 0.0000 0.5000  4 F 1.93-1.96
8 Cu 0.0000 0.5000 0.5000  4 F 1.93-1.96
9 Cu 0.2186 0.2500 0.7711  4 F 1.94-1.97
10 Cu 0.5000 0.0000 0.0000  4 F 1.94-2.02
11 Cu 0.5000 0.5000 0.0000  4 F 1.94-2.02
12 Cu 0.7814 0.7500 0.2289  4 F 1.94-1.97
13 F 0.0144 0.2500 0.4386  2 Cu 1.93
14 F 0.0616 0.7500 0.1467  1 Zr 2.04
15 F 0.1413 0.0497 0.6579  2 Cu 1.94-1.96
16 F 0.1413 0.4503 0.6579  2 Cu 1.94-1.96
17 F 0.2314 0.5737 0.3832  1 Zr 2.06
18 F 0.2314 0.9263 0.3832  1 Zr 2.06
19 F 0.2951 0.0571 0.8947  2 Cu 1.94-1.97
20 F 0.2951 0.4429 0.8947  2 Cu 1.94-1.97
21 F 0.3504 0.0173 0.1727  1 Zr 2.11, 1 Cu 2.23
22 F 0.3504 0.4827 0.1727  1 Zr 2.11, 1 Cu 2.23
23 F 0.4009 0.7500 0.0357  2 Cu 2.02
24 F 0.4624 0.2500 0.6743  1 Zr 2.04, 1 Cu 2.24
25 F 0.5376 0.7500 0.3257  1 Zr 2.04, 1 Cu 2.24
26 F 0.5991 0.2500 0.9643  2 Cu 2.02
27 F 0.6496 0.5173 0.8273  1 Zr 2.11, 1 Cu 2.23
28 F 0.6496 0.9827 0.8273  1 Zr 2.11, 1 Cu 2.23
29 F 0.7049 0.5571 0.1053  2 Cu 1.94-1.97
30 F 0.7049 0.9429 0.1053  2 Cu 1.94-1.97
31 F 0.7686 0.0737 0.6168  1 Zr 2.06
32 F 0.7686 0.4263 0.6168  1 Zr 2.06
33 F 0.8587 0.5497 0.3421  2 Cu 1.94-1.96
34 F 0.8587 0.9503 0.3421  2 Cu 1.94-1.96
35 F 0.9384 0.2500 0.8533  1 Zr 2.04
36 F 0.9856 0.7500 0.5614  2 Cu 1.93